LuCdPd2: relaxed, r2SCAN.

Summary:
Its space group is Fm-3m. The formation energy is -0.80 eV per atom. As for the crystal system: cubic. The value obtained for the energy is -26.825 eV per atom. The value obtained for the volume is 73.1 Å³ per cell. The calculation puts the total magnetization at 0.0 μB per cell.

Unit cell a=4.694 b=4.694 c=4.694 alpha=60.00 beta=60.00 gamma=60.00
Positions (direct):
Lu: 0.750 0.750 0.750
Pd: 0.500 0.500 0.500
Cd: 0.250 0.250 0.250
Pd: 0.000 0.000 0.000

***

Lu2CdPd2: relaxed, r2SCAN.

Summary:
Its space group is P4/mbm. The formation energy is -0.85 eV per atom. As for the crystal system: tetragonal. The value obtained for the energy is -29.290 eV per atom. The value obtained for the volume is 206.6 Å³ per cell. The calculation puts the total magnetization at 0.0 μB per cell.

Unit cell a=7.602 b=7.602 c=3.576 alpha=90.00 beta=90.00 gamma=90.00
Positions (direct):
Cd: 0.500 0.500 0.000
Pd: 0.368 0.132 0.000
Lu: 0.831 0.669 0.500
Pd: 0.632 0.868 0.000
Lu: 0.331 0.831 0.500
Pd: 0.868 0.368 0.000
Lu: 0.169 0.331 0.500
Lu: 0.669 0.169 0.500
Cd: 0.000 0.000 0.000
Pd: 0.132 0.632 0.000

***

LuCdRh2: relaxed, r2SCAN.

Summary:
Its space group is Fm-3m. The formation energy is -0.69 eV per atom. As for the crystal system: cubic. The value obtained for the energy is -27.306 eV per atom. The value obtained for the volume is 68.9 Å³ per cell. The calculation puts the total magnetization at 0.0 μB per cell.

Unit cell a=4.601 b=4.601 c=4.601 alpha=60.00 beta=60.00 gamma=60.00
Positions (direct):
Lu: 0.750 0.750 0.750
Rh: 0.000 0.000 0.000
Cd: 0.250 0.250 0.250
Rh: 0.500 0.500 0.500

***

Lu2CdS4: relaxed, r2SCAN.

Summary:
Its space group is Fd-3m. The formation energy is -1.94 eV per atom. As for the crystal system: cubic. The value obtained for the energy is -20.281 eV per atom. The value obtained for the volume is 336.7 Å³ per cell. The calculation puts the total magnetization at 0.0 μB per cell.

Unit cell a=7.809 b=7.809 c=7.809 alpha=60.00 beta=60.00 gamma=60.00
Positions (direct):
S: 0.258 0.258 0.258
Lu: 0.500 0.500 0.000
S: 0.742 0.275 0.742
S: 0.275 0.742 0.742
Cd: 0.875 0.875 0.875
Lu: 0.000 0.500 0.500
S: 0.258 0.725 0.258
Lu: 0.500 0.000 0.500
S: 0.742 0.742 0.742
S: 0.725 0.258 0.258
Lu: 0.500 0.500 0.500
S: 0.258 0.258 0.725
Cd: 0.125 0.125 0.125
S: 0.742 0.742 0.275

***

Mg149Cd: relaxed, r2SCAN.

Summary:
Its space group is P-6m2. The formation energy is 0.01 eV per atom. As for the crystal system: hexagonal. The value obtained for the energy is -4.270 eV per atom. The value obtained for the volume is 3361.4 Å³ per cell. The calculation puts the total magnetization at 0.0 μB per cell.

Unit cell a=15.860 b=15.860 c=15.430 alpha=90.00 beta=90.00 gamma=120.00
Positions (direct):
Mg: 0.667 0.333 0.167
Mg: 0.067 0.333 0.166
Mg: 0.600 0.600 0.666
Mg: 0.067 0.733 0.166
Mg: 0.467 0.133 0.500
Mg: 0.067 0.133 0.834
Mg: 0.867 0.533 0.834
Mg: 0.467 0.933 0.500
Mg: 0.400 0.400 0.334
Mg: 0.000 0.800 0.334
Mg: 0.267 0.133 0.833
Mg: 0.800 0.400 0.666
Mg: 0.400 0.800 0.000
Mg: 0.600 0.200 0.000
Mg: 0.467 0.133 0.166
Mg: 0.400 0.200 0.666
Mg: 0.600 0.200 0.334
Mg: 0.067 0.133 0.500
Mg: 0.600 0.600 0.334
Mg: 0.600 0.400 0.666
Mg: 0.467 0.733 0.500
Mg: 0.267 0.933 0.166
Mg: 0.800 0.800 0.666
Mg: 0.267 0.133 0.500
Mg: 0.199 0.399 0.000
Mg: 0.267 0.533 0.834
Mg: 0.000 0.600 0.334
Mg: 0.467 0.933 0.166
Mg: 0.467 0.533 0.166
Mg: 0.067 0.333 0.500
Mg: 0.267 0.333 0.500
Mg: 0.267 0.533 0.166
Mg: 0.867 0.133 0.833
Mg: 0.867 0.933 0.166
Mg: 0.999 0.801 0.000
Mg: 0.467 0.733 0.834
Mg: 0.000 0.800 0.666
Mg: 0.800 0.601 0.000
Mg: 0.400 0.000 0.000
Mg: 0.800 0.200 0.000
Mg: 0.667 0.733 0.166
Mg: 0.000 0.200 0.334
Mg: 0.667 0.733 0.500
Mg: 0.000 0.000 0.334
Mg: 0.067 0.733 0.834
Mg: 0.667 0.933 0.500
Mg: 0.867 0.733 0.500
Mg: 0.200 0.200 0.334
Mg: 0.800 0.000 0.666
Mg: 0.867 0.533 0.166
Mg: 0.867 0.333 0.500
Mg: 0.600 0.800 0.334
Mg: 0.400 0.000 0.334
Mg: 0.467 0.933 0.834
Mg: 0.067 0.933 0.500
Mg: 0.267 0.733 0.834
Mg: 0.601 0.801 0.000
Cd: 0.000 0.000 0.000
Mg: 0.200 0.600 0.000
Mg: 0.000 0.000 0.666
Mg: 0.000 0.200 0.666
Mg: 0.667 0.533 0.500
Mg: 0.267 0.533 0.500
Mg: 0.600 0.000 0.666
Mg: 0.800 0.400 0.000
Mg: 0.800 0.000 0.334
Mg: 0.867 0.133 0.167
Mg: 0.667 0.933 0.834
Mg: 0.267 0.333 0.834
Mg: 0.467 0.133 0.834
Mg: 0.800 0.200 0.666
Mg: 0.467 0.333 0.834
Mg: 0.267 0.733 0.500
Mg: 0.867 0.333 0.834
Mg: 0.200 0.600 0.666
Mg: 0.199 0.801 0.000
Mg: 0.667 0.133 0.166
Mg: 0.267 0.933 0.500
Mg: 0.600 0.400 0.334
Mg: 0.267 0.933 0.834
Mg: 0.200 0.400 0.334
Mg: 0.802 0.001 0.000
Mg: 0.667 0.333 0.500
Mg: 0.200 0.000 0.334
Mg: 0.067 0.533 0.500
Mg: 0.600 0.000 0.334
Mg: 0.867 0.533 0.500
Mg: 0.000 0.400 0.000
Mg: 0.200 0.200 0.666
Mg: 0.467 0.333 0.166
Mg: 0.400 0.600 0.334
Mg: 0.067 0.533 0.834
Mg: 0.000 0.600 0.666
Mg: 0.267 0.133 0.167
Mg: 0.800 0.600 0.334
Mg: 0.000 0.400 0.666
Mg: 0.600 0.600 0.000
Mg: 0.800 0.200 0.334
Mg: 0.000 0.600 0.000
Mg: 0.400 0.000 0.666
Mg: 0.600 0.000 0.000
Mg: 0.000 0.400 0.334
Mg: 0.600 0.400 0.000
Mg: 0.667 0.733 0.834
Mg: 0.467 0.533 0.834
Mg: 0.200 0.800 0.334
Mg: 0.667 0.133 0.500
Mg: 0.667 0.933 0.166
Mg: 0.067 0.133 0.166
Mg: 0.600 0.200 0.666
Mg: 0.400 0.800 0.666
Mg: 0.267 0.733 0.166
Mg: 0.400 0.400 0.666
Mg: 0.802 0.801 0.000
Mg: 0.067 0.933 0.166
Mg: 0.867 0.933 0.500
Mg: 0.467 0.333 0.500
Mg: 0.999 0.198 0.000
Mg: 0.200 0.800 0.666
Mg: 0.399 0.200 0.000
Mg: 0.667 0.333 0.833
Mg: 0.067 0.533 0.166
Mg: 0.199 0.001 0.000
Mg: 0.867 0.333 0.166
Mg: 0.867 0.133 0.500
Mg: 0.800 0.800 0.334
Mg: 0.867 0.733 0.833
Mg: 0.800 0.400 0.334
Mg: 0.467 0.533 0.500
Mg: 0.400 0.200 0.334
Mg: 0.067 0.333 0.834
Mg: 0.867 0.733 0.167
Mg: 0.400 0.600 0.000
Mg: 0.200 0.400 0.666
Mg: 0.199 0.198 0.000
Mg: 0.800 0.600 0.666
Mg: 0.400 0.600 0.666
Mg: 0.400 0.800 0.334
Mg: 0.267 0.333 0.166
Mg: 0.600 0.800 0.666
Mg: 0.867 0.933 0.834
Mg: 0.400 0.400 0.000
Mg: 0.067 0.933 0.834
Mg: 0.667 0.133 0.834
Mg: 0.467 0.733 0.166
Mg: 0.200 0.000 0.666
Mg: 0.667 0.533 0.166
Mg: 0.200 0.600 0.334
Mg: 0.067 0.733 0.500
Mg: 0.667 0.533 0.834

***

MgCd2: relaxed, r2SCAN.

Summary:
The formation energy is -0.05 eV per atom. The value obtained for the energy is -14.839 eV per atom. The value obtained for the volume is 255.6 Å³ per cell. The calculation puts the total magnetization at 0.0 μB per cell.

Unit cell a=4.977 b=3.205 c=16.025 alpha=90.00 beta=90.00 gamma=90.00
Positions (direct):
Cd: 0.000 0.500 0.500
Cd: 0.000 0.500 0.168
Cd: 0.500 0.000 0.557
Mg: 0.500 0.000 0.219
Mg: 0.500 0.500 0.390
Mg: 0.500 0.500 0.719
Cd: 0.000 0.500 0.833
Cd: 0.000 0.000 0.668
Cd: 0.000 0.000 0.000
Cd: 0.500 0.500 0.057
Cd: 0.000 0.000 0.333
Mg: 0.500 0.000 0.890

***

MgCd2: relaxed, r2SCAN.

Summary:
Its space group is Cmcm. The formation energy is -0.03 eV per atom. As for the crystal system: orthorhombic. The value obtained for the energy is -14.826 eV per atom. The value obtained for the volume is 128.4 Å³ per cell. The calculation puts the total magnetization at 0.0 μB per cell.

Unit cell a=8.029 b=8.029 c=5.118 alpha=90.00 beta=90.00 gamma=157.10
Positions (direct):
Mg: 0.720 0.280 0.750
Mg: 0.280 0.720 0.250
Cd: 0.616 0.384 0.250
Cd: 0.946 0.054 0.250
Cd: 0.384 0.616 0.750
Cd: 0.054 0.946 0.750

***

MgCd2: relaxed, r2SCAN.

Summary:
The formation energy is -0.05 eV per atom. The value obtained for the energy is -14.839 eV per atom. The value obtained for the volume is 382.5 Å³ per cell. The calculation puts the total magnetization at 0.0 μB per cell.

Unit cell a=5.409 b=5.409 c=15.094 alpha=90.00 beta=90.00 gamma=120.00
Positions (direct):
Cd: 0.667 0.667 0.667
Mg: 0.000 0.000 0.167
Mg: 0.000 0.000 0.833
Cd: 0.667 0.667 0.333
Cd: 0.000 0.333 0.667
Mg: 0.333 0.667 0.834
Cd: 0.667 0.333 0.833
Cd: 0.000 0.000 0.500
Cd: 0.000 0.333 0.333
Cd: 0.000 0.333 0.000
Cd: 0.667 0.667 0.000
Cd: 0.333 0.000 0.667
Mg: 0.667 0.333 0.166
Mg: 0.333 0.667 0.500
Cd: 0.333 0.000 0.000
Cd: 0.333 0.000 0.333
Mg: 0.667 0.333 0.500
Cd: 0.333 0.667 0.167

***

MgCd2: relaxed, r2SCAN.

Summary:
Its space group is P-62m. The formation energy is -0.05 eV per atom. As for the crystal system: hexagonal. The value obtained for the energy is -14.841 eV per atom. The value obtained for the volume is 127.1 Å³ per cell. The calculation puts the total magnetization at 0.0 μB per cell.

Unit cell a=5.008 b=5.413 c=5.413 alpha=60.00 beta=90.00 gamma=90.00
Positions (direct):
Mg: 0.500 0.000 0.667
Mg: 0.500 0.667 0.333
Cd: 0.000 0.002 0.000
Cd: 0.500 0.333 0.000
Cd: 0.000 0.333 0.331
Cd: 0.000 0.665 0.669

***

MgCd2: relaxed, r2SCAN.

Summary:
Its space group is C2/m. The formation energy is -0.06 eV per atom. As for the crystal system: monoclinic. The value obtained for the energy is -14.853 eV per atom. The value obtained for the volume is 126.8 Å³ per cell. The calculation puts the total magnetization at 0.0 μB per cell.

Unit cell a=6.044 b=6.044 c=7.363 alpha=73.44 beta=73.44 gamma=29.58
Positions (direct):
Cd: 0.808 0.808 0.138
Cd: 0.138 0.138 0.470
Mg: 0.474 0.474 0.802
Mg: 0.526 0.526 0.198
Cd: 0.862 0.862 0.530
Cd: 0.192 0.192 0.862

***

MgCd2: relaxed, r2SCAN.

Summary:
Its space group is Cm. The formation energy is -0.04 eV per atom. As for the crystal system: monoclinic. The value obtained for the energy is -14.833 eV per atom. The value obtained for the volume is 128.4 Å³ per cell. The calculation puts the total magnetization at 0.0 μB per cell.

Unit cell a=5.769 b=5.769 c=7.188 alpha=78.32 beta=78.32 gamma=33.32
Positions (direct):
Cd: 0.999 0.999 0.003
Cd: 0.336 0.336 0.337
Cd: 0.663 0.663 0.665
Mg: 0.942 0.942 0.613
Mg: 0.617 0.617 0.271
Cd: 0.277 0.277 0.945

***

MgCd2: relaxed, r2SCAN.

Summary:
Its space group is C2/c. The formation energy is -0.07 eV per atom. As for the crystal system: monoclinic. The value obtained for the energy is -14.863 eV per atom. The value obtained for the volume is 127.0 Å³ per cell. The calculation puts the total magnetization at 0.0 μB per cell.

Unit cell a=5.249 b=5.249 c=6.276 alpha=63.00 beta=63.00 gamma=59.49
Positions (direct):
Cd: 0.247 0.422 0.740
Mg: 0.915 0.085 0.750
Cd: 0.753 0.578 0.260
Mg: 0.085 0.915 0.250
Cd: 0.578 0.753 0.760
Cd: 0.422 0.247 0.240

***

MgCd2: relaxed, r2SCAN.

Summary:
Its space group is C2/m. The formation energy is -0.04 eV per atom. As for the crystal system: monoclinic. The value obtained for the energy is -14.837 eV per atom. The value obtained for the volume is 127.7 Å³ per cell. The calculation puts the total magnetization at 0.0 μB per cell.

Unit cell a=6.053 b=6.053 c=7.493 alpha=72.04 beta=72.04 gamma=29.39
Positions (direct):
Cd: 0.138 0.138 0.978
Mg: 0.192 0.192 0.358
Cd: 0.862 0.862 0.022
Cd: 0.534 0.534 0.690
Cd: 0.466 0.466 0.310
Mg: 0.808 0.808 0.642

***

MgCd2: relaxed, r2SCAN.

Summary:
The formation energy is -0.05 eV per atom. The value obtained for the energy is -14.847 eV per atom. The value obtained for the volume is 253.9 Å³ per cell. The calculation puts the total magnetization at 0.0 μB per cell.

Unit cell a=3.126 b=16.139 c=5.033 alpha=90.00 beta=90.00 gamma=90.00
Positions (direct):
Cd: 0.000 0.892 0.250
Mg: 0.500 0.058 0.250
Cd: 0.000 0.221 0.250
Cd: 0.500 0.279 0.750
Cd: 0.500 0.392 0.250
Cd: 0.000 0.108 0.750
Cd: 0.000 0.779 0.750
Cd: 0.500 0.721 0.250
Mg: 0.000 0.442 0.750
Mg: 0.500 0.942 0.750
Cd: 0.500 0.608 0.750
Mg: 0.000 0.558 0.250

***

MgCd2: relaxed, r2SCAN.

Summary:
The formation energy is -0.05 eV per atom. The value obtained for the energy is -14.843 eV per atom. The value obtained for the volume is 255.2 Å³ per cell. The calculation puts the total magnetization at 0.0 μB per cell.

Unit cell a=11.819 b=3.093 c=7.308 alpha=90.00 beta=107.20 gamma=90.00
Positions (direct):
Cd: 0.031 0.000 0.806
Mg: 0.637 0.000 0.529
Cd: 0.531 0.500 0.806
Mg: 0.363 0.000 0.471
Mg: 0.863 0.500 0.471
Cd: 0.969 0.000 0.194
Mg: 0.137 0.500 0.529
Cd: 0.805 0.500 0.853
Cd: 0.305 0.000 0.853
Cd: 0.469 0.500 0.194
Cd: 0.695 0.000 0.147
Cd: 0.195 0.500 0.147

***

MgCd2: relaxed, r2SCAN.

Summary:
Its space group is Cmcm. The formation energy is -0.06 eV per atom. As for the crystal system: orthorhombic. The value obtained for the energy is -14.858 eV per atom. The value obtained for the volume is 125.6 Å³ per cell. The calculation puts the total magnetization at 0.0 μB per cell.

Unit cell a=5.288 b=5.288 c=5.148 alpha=90.00 beta=90.00 gamma=119.22
Positions (direct):
Mg: 0.322 0.322 0.250
Mg: 0.678 0.678 0.750
Cd: 0.661 0.994 0.250
Cd: 0.006 0.339 0.750
Cd: 0.339 0.006 0.750
Cd: 0.994 0.661 0.250

***

MgCd2: relaxed, r2SCAN.

Summary:
The formation energy is -0.07 eV per atom. The value obtained for the energy is -14.862 eV per atom. The value obtained for the volume is 252.6 Å³ per cell. The calculation puts the total magnetization at 0.0 μB per cell.

Unit cell a=3.203 b=15.712 c=5.019 alpha=90.00 beta=90.00 gamma=90.00
Positions (direct):
Cd: 0.500 0.055 0.250
Mg: 0.500 0.610 0.750
Mg: 0.000 0.890 0.250
Cd: 0.000 0.555 0.250
Cd: 0.500 0.945 0.750
Cd: 0.000 0.445 0.750
Cd: 0.000 0.222 0.250
Mg: 0.500 0.390 0.250
Mg: 0.000 0.110 0.750
Cd: 0.500 0.722 0.250
Cd: 0.000 0.778 0.750
Cd: 0.500 0.278 0.750